An optimized crystal structure of MgCrSi4O10, computed with PBE+U.

MP2020-corrected energy, eV/atom: -8.206
Crystal system: tetragonal
Energy of formation, eV/atom: -3.05

Cell: 7.344 7.344 14.921 Å, 90.00 90.00 90.00°
Space group P4/ncc (No. 130, origin choice 2)
Symmetry-distinct sites (fractional):
Mg1 0.250 0.750 0.000 (multiplicity 4)
Cr1 0.250 0.250 0.071 (multiplicity 4)
Si1 0.008 0.588 0.145 (multiplicity 16)
O1 0.002 0.193 0.875 (multiplicity 16)
O2 0.019 0.663 0.424 (multiplicity 16)
O3 0.054 0.554 0.250 (multiplicity 8)



An optimized crystal structure of Mg6CrSnO8, computed with PBE+U.

MP2020-corrected energy, eV/atom: -6.425
Crystal system: tetragonal
Polymorph energy (0 for the lowest one), eV per atom: 0.0160
Energy of formation, eV/atom: -2.50

Cell: 4.496 4.496 8.767 Å, 90.00 90.00 90.00°
Space group P4/mmm (No. 123)
Symmetry-distinct sites (fractional):
Mg1 0.000 0.000 0.000 (multiplicity 1)
Mg2 0.000 0.000 0.500 (multiplicity 1)
Mg3 0.000 0.500 0.238 (multiplicity 4)
Cr1 0.500 0.500 0.000 (multiplicity 1)
Sn1 0.500 0.500 0.500 (multiplicity 1)
O1 0.000 0.000 0.250 (multiplicity 2)
O2 0.000 0.500 0.000 (multiplicity 2)
O3 0.000 0.500 0.500 (multiplicity 2)
O4 0.500 0.500 0.232 (multiplicity 2)



An optimized crystal structure of Mg6CrSnO8, computed with PBE+U.

MP2020-corrected energy, eV/atom: -6.441
Crystal system: tetragonal
Polymorph energy (0 for the lowest one), eV per atom: 0.0000
Energy of formation, eV/atom: -2.51

Cell: 4.409 4.409 9.136 Å, 90.00 90.00 90.00°
Space group P4/mmm (No. 123)
Symmetry-distinct sites (fractional):
Mg1 0.000 0.000 0.000 (multiplicity 1)
Mg2 0.000 0.500 0.231 (multiplicity 4)
Mg3 0.500 0.500 0.000 (multiplicity 1)
Cr1 0.000 0.000 0.500 (multiplicity 1)
Sn1 0.500 0.500 0.500 (multiplicity 1)
O1 0.000 0.000 0.230 (multiplicity 2)
O2 0.000 0.500 0.000 (multiplicity 2)
O3 0.000 0.500 0.500 (multiplicity 2)
O4 0.500 0.500 0.227 (multiplicity 2)



An optimized crystal structure of SrMg14CrO16, computed with PBE+U.

MP2020-corrected energy, eV/atom: -6.408
Crystal system: tetragonal
Polymorph energy (0 for the lowest one), eV per atom: 0.0054
Energy of formation, eV/atom: -2.88

Cell: 8.631 8.631 4.461 Å, 90.00 90.00 90.00°
Space group P4/mmm (No. 123)
Symmetry-distinct sites (fractional):
Sr1 0.000 0.000 0.000 (multiplicity 1)
Mg1 0.000 0.259 0.500 (multiplicity 4)
Mg2 0.000 0.500 0.000 (multiplicity 2)
Mg3 0.252 0.500 0.500 (multiplicity 4)
Mg4 0.255 0.255 0.000 (multiplicity 4)
Cr1 0.500 0.500 0.000 (multiplicity 1)
O1 0.000 0.000 0.500 (multiplicity 1)
O2 0.000 0.271 0.000 (multiplicity 4)
O3 0.000 0.500 0.500 (multiplicity 2)
O4 0.250 0.250 0.500 (multiplicity 4)
O5 0.251 0.500 0.000 (multiplicity 4)
O6 0.500 0.500 0.500 (multiplicity 1)



An optimized crystal structure of SrMg30CrO32, computed with PBE+U.

MP2020-corrected energy, eV/atom: -6.356
Crystal system: tetragonal
Energy of formation, eV/atom: -2.95

Cell: 8.586 8.586 8.654 Å, 90.00 90.00 90.00°
Space group P4/mmm (No. 123)
Symmetry-distinct sites (fractional):
Sr1 0.000 0.000 0.000 (multiplicity 1)
Mg1 0.000 0.000 0.500 (multiplicity 1)
Mg2 0.000 0.255 0.255 (multiplicity 8)
Mg3 0.000 0.500 0.000 (multiplicity 2)
Mg4 0.000 0.500 0.500 (multiplicity 2)
Mg5 0.250 0.250 0.500 (multiplicity 4)
Mg6 0.251 0.500 0.252 (multiplicity 8)
Mg7 0.254 0.254 0.000 (multiplicity 4)
Mg8 0.500 0.500 0.500 (multiplicity 1)
Cr1 0.500 0.500 0.000 (multiplicity 1)
O1 0.000 0.000 0.270 (multiplicity 2)
O2 0.000 0.253 0.500 (multiplicity 4)
O3 0.000 0.270 0.000 (multiplicity 4)
O4 0.000 0.500 0.253 (multiplicity 4)
O5 0.248 0.500 0.500 (multiplicity 4)
O6 0.250 0.250 0.249 (multiplicity 8)
O7 0.252 0.500 0.000 (multiplicity 4)
O8 0.500 0.500 0.264 (multiplicity 2)



An optimized crystal structure of SrMgCrO3, computed with PBE+U.

MP2020-corrected energy, eV/atom: -6.738
Crystal system: tetragonal
Polymorph energy (0 for the lowest one), eV per atom: 0.0939
Energy of formation, eV/atom: -2.11

Cell: 3.928 3.928 6.518 Å, 90.00 90.00 90.00°
Space group P4/mmm (No. 123)
Symmetry-distinct sites (fractional):
Sr1 0.000 0.000 0.000 (multiplicity 1)
Mg1 0.000 0.000 0.500 (multiplicity 1)
Cr1 0.500 0.500 0.500 (multiplicity 1)
O1 0.000 0.500 0.500 (multiplicity 2)
O2 0.500 0.500 0.000 (multiplicity 1)



An optimized crystal structure of SrMgCrO3, computed with PBE+U.

MP2020-corrected energy, eV/atom: -6.832
Crystal system: monoclinic
Polymorph energy (0 for the lowest one), eV per atom: 0.0000
Energy of formation, eV/atom: -2.20

Cell: 7.961 6.124 3.929 Å, 90.00 98.00 90.00°
Space group Cm (No. 8)
Symmetry-distinct sites (fractional):
Sr1 0.000 0.000 0.000 (multiplicity 2)
Mg1 0.078 0.500 0.289 (multiplicity 2)
Cr1 0.299 0.000 0.598 (multiplicity 2)
O1 0.100 0.241 0.562 (multiplicity 4)
O2 0.337 0.000 0.103 (multiplicity 2)



An optimized crystal structure of SrMg14CrO16, computed with PBE+U.

MP2020-corrected energy, eV/atom: -6.414
Crystal system: orthorhombic
Polymorph energy (0 for the lowest one), eV per atom: 0.0000
Energy of formation, eV/atom: -2.89

Cell: 4.401 8.644 8.749 Å, 90.00 90.00 90.00°
Space group Pmmm (No. 47)
Symmetry-distinct sites (fractional):
Sr1 0.000 0.000 0.000 (multiplicity 1)
Mg1 0.000 0.000 0.500 (multiplicity 1)
Mg2 0.000 0.256 0.258 (multiplicity 4)
Mg3 0.000 0.500 0.500 (multiplicity 1)
Mg4 0.500 0.000 0.260 (multiplicity 2)
Mg5 0.500 0.251 0.500 (multiplicity 2)
Mg6 0.500 0.258 0.000 (multiplicity 2)
Mg7 0.500 0.500 0.254 (multiplicity 2)
Cr1 0.000 0.500 0.000 (multiplicity 1)
O1 0.000 0.000 0.271 (multiplicity 2)
O2 0.000 0.252 0.500 (multiplicity 2)
O3 0.000 0.269 0.000 (multiplicity 2)
O4 0.000 0.500 0.266 (multiplicity 2)
O5 0.500 0.000 0.000 (multiplicity 1)
O6 0.500 0.000 0.500 (multiplicity 1)
O7 0.500 0.250 0.250 (multiplicity 4)
O8 0.500 0.500 0.000 (multiplicity 1)
O9 0.500 0.500 0.500 (multiplicity 1)